[1]
## CsGaNiF6 (PBE with a Hubbard U)

Data for a relaxed CsGaNiF6 crystal.

Properties
The calculation puts the calculated volume at 15.698 A^3/atom. As for the final energy: -4.59 eV per atom. The value obtained for the formation energy is -2824 meV per atom.

Cell lengths 7.3686, 7.3686, 7.3686 Å; angles 120.31, 119.84, 89.87 degrees
With the nearest neighbours (Å) after each atom.
Sites, in units of the cell vectors:
Cs: 0.3717 0.1217 0.2500  6 F 3.10-3.28
Cs: 0.6283 0.8783 0.7500  6 F 3.10-3.28
Ga: 0.0000 0.5000 0.5000  6 F 1.90-1.96
Ga: 0.5000 0.5000 0.0000  6 F 1.90-1.96
Ni: 0.0000 0.0000 0.5000  6 F 1.99-2.05
Ni: 0.0000 0.5000 0.0000  6 F 1.99-2.05
F: 0.0713 0.4343 0.2629  1 Ga 1.90, 1 Ni 2.05
F: 0.0713 0.8084 0.6370  1 Ga 1.90, 1 Ni 2.05
F: 0.0745 0.8245 0.2500  2 Ni 1.99
F: 0.3141 0.5641 0.7500  2 Ga 1.96
F: 0.3286 0.1916 0.7629  1 Ga 1.90, 1 Ni 2.05
F: 0.3286 0.5657 0.1370  1 Ga 1.90, 1 Ni 2.05
F: 0.6714 0.4343 0.8630  1 Ga 1.90, 1 Ni 2.05
F: 0.6714 0.8084 0.2371  1 Ga 1.90, 1 Ni 2.05
F: 0.6859 0.4359 0.2500  2 Ga 1.96
F: 0.9255 0.1755 0.7500  2 Ni 1.99
F: 0.9287 0.1916 0.3630  1 Ga 1.90, 1 Ni 2.05
F: 0.9287 0.5657 0.7371  1 Ga 1.90, 1 Ni 2.05


[2]
## Cs2VH2O2F4 (PBE with a Hubbard U)

Data for a relaxed Cs2VH2O2F4 crystal.

Properties
As for the total magnetic moment: 4.001 μB/cell. The calculation puts the calculated volume at 16.979 A^3/atom. As for the final energy: -5.28 eV per atom. The value obtained for the formation energy is -2528 meV per atom.

Cell lengths 8.6427, 9.3826, 9.9925 Å; angles 94.66, 105.48, 104.35 degrees
With the nearest neighbours (Å) after each atom.
Sites, in units of the cell vectors:
Cs: 0.0105 0.2526 0.0028  4 F 2.99-3.14, 2 O 3.29-3.30
Cs: 0.0106 0.7526 0.5025  4 F 2.99-3.14, 2 O 3.29
Cs: 0.3866 0.0965 0.3465  6 F 2.98-3.31, 2 H 3.12-3.13
Cs: 0.3867 0.5966 0.8466  6 F 2.98-3.31, 2 H 3.12-3.13
Cs: 0.6133 0.4034 0.1534  6 F 2.98-3.31, 2 H 3.12-3.13
Cs: 0.6134 0.9035 0.6535  6 F 2.98-3.31, 2 H 3.12-3.13
Cs: 0.9894 0.2474 0.4975  4 F 2.99-3.14, 2 O 3.29
Cs: 0.9895 0.7474 0.9972  4 F 2.99-3.14, 2 O 3.29-3.30
V: 0.2457 0.0613 0.8114  1 O 1.67
V: 0.2460 0.5613 0.3114  1 O 1.67
V: 0.7540 0.4387 0.6886  1 O 1.67
V: 0.7543 0.9387 0.1886  1 O 1.67
H: 0.4007 0.2724 0.6310  1 O 0.99
H: 0.4007 0.4277 0.5693  1 O 0.99
H: 0.4009 0.7724 0.1310  1 O 1.00
H: 0.4010 0.9279 0.0694  1 O 0.99
H: 0.5990 0.0721 0.9306  1 O 0.99
H: 0.5991 0.2276 0.8690  1 O 1.00
H: 0.5993 0.5723 0.4307  1 O 0.99
H: 0.5993 0.7276 0.3690  1 O 0.99
O: 0.0369 0.0088 0.7593  1 V 1.67
O: 0.0376 0.5089 0.2594  1 V 1.67
O: 0.4720 0.3679 0.6181  2 H 0.99
O: 0.4725 0.8681 0.1182  2 H 0.99-1.00
O: 0.5275 0.1319 0.8818  2 H 0.99-1.00
O: 0.5280 0.6321 0.3819  2 H 0.99
O: 0.9624 0.4911 0.7406  1 V 1.67
O: 0.9631 0.9912 0.2407  1 V 1.67
F: 0.2772 0.1061 0.6275  1 H 1.65
F: 0.2775 0.6061 0.1275  1 H 1.65
F: 0.2776 0.0325 0.0110  1 H 1.65
F: 0.2776 0.5324 0.5109  1 H 1.65
F: 0.2861 0.2743 0.8705  1 V 1.95
F: 0.2863 0.7743 0.3705  1 V 1.95
F: 0.2870 0.3687 0.2725  1 V 1.95
F: 0.2866 0.8686 0.7723  1 V 1.95
F: 0.7134 0.1314 0.2277  1 V 1.95
F: 0.7130 0.6313 0.7275  1 V 1.95
F: 0.7137 0.2257 0.6295  1 V 1.95
F: 0.7139 0.7257 0.1295  1 V 1.95
F: 0.7224 0.4676 0.4891  1 H 1.65
F: 0.7224 0.9675 0.9890  1 H 1.65
F: 0.7225 0.3939 0.8725  1 H 1.65
F: 0.7228 0.8939 0.3725  1 H 1.65